DFT (PBE-GGA) results for a relaxed LiSn2S3O12 crystal. Values from VASP.

Cell and atoms, written as Quantum ESPRESSO input:
```
&SYSTEM
  ibrav = 0, nat = 36, ntyp = 4
/
ATOMIC_SPECIES
Li 6.94 Li.upf
Sn 118.71 Sn.upf
S 32.06 S.upf
O 16.00 O.upf
CELL_PARAMETERS angstrom
4.604 2.658 7.707
-4.604 2.658 7.707
0.000 -5.316 7.707
ATOMIC_POSITIONS crystal
Li 0.000 0.000 0.000
Li 0.500 0.500 0.500
Sn 0.147 0.147 0.147
Sn 0.353 0.353 0.353
Sn 0.647 0.647 0.647
Sn 0.853 0.853 0.853
S 0.063 0.750 0.437
S 0.250 0.563 0.937
S 0.437 0.063 0.750
S 0.563 0.937 0.250
S 0.750 0.437 0.063
S 0.937 0.250 0.563
O 0.017 0.823 0.569
O 0.069 0.323 0.517
O 0.073 0.893 0.257
O 0.107 0.743 0.927
O 0.177 0.431 0.983
O 0.243 0.607 0.427
O 0.257 0.073 0.893
O 0.323 0.517 0.069
O 0.393 0.573 0.757
O 0.427 0.243 0.607
O 0.431 0.983 0.177
O 0.483 0.931 0.677
O 0.517 0.069 0.323
O 0.569 0.017 0.823
O 0.573 0.757 0.393
O 0.607 0.427 0.243
O 0.677 0.483 0.931
O 0.743 0.927 0.107
O 0.757 0.393 0.573
O 0.823 0.569 0.017
O 0.893 0.257 0.073
O 0.927 0.107 0.743
O 0.931 0.677 0.483
O 0.983 0.177 0.431
```

For the formation energy, the calculation gives -1.841 eV per atom. Its energy above the lowest structure with this stoichiometry is 26.9 meV per atom.